No. 1
Material: Li8Mn7FeB8O24
Method: DFT, PBE+U
State: optimized geometry

Unit cell a=5.259 b=9.113 c=11.594 alpha=68.49 beta=77.87 gamma=89.82
Space group P1 (No. 1)
Inequivalent atoms, fractional coordinates:
Li 0.000 0.000 0.000 x1
Li 0.022 0.040 0.250 x1
Li 0.265 0.244 0.500 x1
Li 0.314 0.276 0.750 x1
Li 0.500 0.500 0.000 x1
Li 0.524 0.540 0.250 x1
Li 0.766 0.744 0.500 x1
Li 0.814 0.777 0.750 x1
Mn 0.022 0.345 0.965 x1
Mn 0.048 0.718 0.217 x1
Mn 0.272 0.929 0.465 x1
Mn 0.319 0.630 0.716 x1
Mn 0.522 0.845 0.965 x1
Mn 0.550 0.220 0.215 x1
Mn 0.819 0.132 0.713 x1
Fe 0.765 0.430 0.465 x1
B 0.029 0.680 0.958 x1
B 0.058 0.392 0.209 x1
B 0.272 0.597 0.459 x1
B 0.324 0.970 0.708 x1
B 0.529 0.180 0.958 x1
B 0.558 0.892 0.208 x1
B 0.771 0.101 0.457 x1
B 0.825 0.471 0.707 x1
O 0.026 0.624 0.430 x1
O 0.056 0.435 0.748 x1
O 0.118 0.791 0.000 x1
O 0.194 0.860 0.678 x1
O 0.198 0.573 0.927 x1
O 0.223 0.115 0.693 x1
O 0.275 0.175 0.943 x1
O 0.325 0.414 0.194 x1
O 0.389 0.991 0.249 x1
O 0.392 0.700 0.499 x1
O 0.397 0.468 0.445 x1
O 0.457 0.771 0.179 x1
O 0.525 0.131 0.427 x1
O 0.557 0.935 0.749 x1
O 0.618 0.291 0.000 x1
O 0.694 0.362 0.676 x1
O 0.698 0.073 0.927 x1
O 0.724 0.616 0.693 x1
O 0.775 0.675 0.944 x1
O 0.825 0.914 0.194 x1
O 0.889 0.490 0.250 x1
O 0.890 0.971 0.444 x1
O 0.891 0.204 0.497 x1
O 0.959 0.272 0.178 x1

## Properties
The formation energy comes out at -2484.9 meV/atom.

No. 2
Material: Li4MnFe3B4O12
Method: DFT, PBE+U
State: optimized geometry

Unit cell a=5.242 b=6.026 c=16.136 alpha=81.59 beta=89.52 gamma=88.73
Space group P-1 (No. 2)
Inequivalent atoms, fractional coordinates:
Li 0.152 0.183 0.360 x2
Li 0.157 0.684 0.862 x2
Li 0.345 0.061 0.892 x2
Li 0.348 0.565 0.387 x2
Mn 0.330 0.980 0.708 x2
Fe 0.163 0.774 0.043 x2
Fe 0.170 0.281 0.537 x2
Fe 0.337 0.477 0.208 x2
B 0.170 0.464 0.704 x2
B 0.171 0.964 0.202 x2
B 0.327 0.290 0.046 x2
B 0.328 0.787 0.545 x2
O 0.089 0.011 0.811 x2
O 0.090 0.509 0.307 x2
O 0.181 0.920 0.592 x2
O 0.182 0.418 0.096 x2
O 0.203 0.181 0.988 x2
O 0.208 0.672 0.487 x2
O 0.289 0.074 0.261 x2
O 0.296 0.572 0.762 x2
O 0.314 0.335 0.654 x2
O 0.320 0.835 0.154 x2
O 0.413 0.237 0.442 x2
O 0.413 0.737 0.944 x2

## Properties
The value obtained for the polymorph energy (0 for the lowest one) is 3 meV/atom. The formation energy comes out at -2372.9 meV/atom.

No. 3
Material: Li4MnFe3B4O12
Method: DFT, PBE+U
State: optimized geometry

Unit cell a=5.167 b=5.222 c=10.998 alpha=77.09 beta=78.94 gamma=60.79
Space group P1 (No. 1)
Inequivalent atoms, fractional coordinates:
Li 0.000 0.000 0.000 x1
Li 0.195 0.936 0.330 x1
Li 0.497 0.502 0.503 x1
Li 0.702 0.433 0.826 x1
Mn 0.321 0.334 0.047 x1
Fe 0.385 0.103 0.780 x1
Fe 0.817 0.829 0.546 x1
Fe 0.883 0.595 0.282 x1
B 0.039 0.764 0.792 x1
B 0.159 0.172 0.535 x1
B 0.540 0.265 0.297 x1
B 0.660 0.673 0.033 x1
O 0.011 0.029 0.811 x1
O 0.186 0.908 0.517 x1
O 0.295 0.497 0.821 x1
O 0.302 0.260 0.254 x1
O 0.395 0.182 0.576 x1
O 0.403 0.934 0.002 x1
O 0.510 0.534 0.313 x1
O 0.697 0.403 0.015 x1
O 0.792 0.999 0.326 x1
O 0.803 0.755 0.751 x1
O 0.888 0.688 0.079 x1
O 0.903 0.439 0.506 x1

## Properties
The value obtained for the polymorph energy (0 for the lowest one) is 4 meV/atom. The formation energy comes out at -2372.2 meV/atom.

No. 4
Material: Li8MnFe7B8O24
Method: DFT, PBE+U
State: optimized geometry

Unit cell a=5.222 b=9.064 c=10.400 alpha=88.37 beta=88.95 gamma=89.99
Space group P1 (No. 1)
Inequivalent atoms, fractional coordinates:
Li 0.000 0.000 0.000 x1
Li 0.019 0.995 0.499 x1
Li 0.335 0.341 0.251 x1
Li 0.364 0.332 0.752 x1
Li 0.497 0.498 0.999 x1
Li 0.520 0.494 0.499 x1
Li 0.832 0.840 0.249 x1
Li 0.864 0.832 0.753 x1
Mn 0.014 0.666 0.468 x1
Fe 0.007 0.337 0.968 x1
Fe 0.348 0.009 0.218 x1
Fe 0.366 0.669 0.716 x1
Fe 0.499 0.836 0.967 x1
Fe 0.516 0.168 0.470 x1
Fe 0.839 0.507 0.217 x1
Fe 0.862 0.168 0.718 x1
B 0.010 0.332 0.459 x1
B 0.013 0.667 0.959 x1
B 0.344 0.668 0.209 x1
B 0.352 0.002 0.710 x1
B 0.512 0.836 0.461 x1
B 0.516 0.166 0.960 x1
B 0.848 0.168 0.210 x1
B 0.853 0.501 0.713 x1
O 0.087 0.677 0.249 x1
O 0.088 0.990 0.698 x1
O 0.274 0.341 0.447 x1
O 0.277 0.654 0.931 x1
O 0.359 0.958 0.430 x1
O 0.377 0.042 0.001 x1
O 0.393 0.301 0.946 x1
O 0.402 0.703 0.503 x1
O 0.460 0.531 0.197 x1
O 0.471 0.137 0.680 x1
O 0.484 0.796 0.181 x1
O 0.495 0.879 0.750 x1
O 0.589 0.490 0.700 x1
O 0.591 0.179 0.249 x1
O 0.775 0.847 0.446 x1
O 0.778 0.154 0.930 x1
O 0.860 0.455 0.429 x1
O 0.873 0.541 0.999 x1
O 0.893 0.200 0.501 x1
O 0.894 0.802 0.946 x1
O 0.961 0.031 0.197 x1
O 0.974 0.635 0.684 x1
O 0.990 0.296 0.181 x1
O 0.995 0.377 0.750 x1

## Properties
The value obtained for the polymorph energy (0 for the lowest one) is 0 meV/atom. The formation energy comes out at -2353.8 meV/atom.

No. 5
Material: Li4Mn3FeB4O12
Method: DFT, PBE+U
State: optimized geometry

Unit cell a=5.242 b=6.051 c=16.297 alpha=81.92 beta=89.09 gamma=89.27
Space group P-1 (No. 2)
Inequivalent atoms, fractional coordinates:
Li 0.097 0.189 0.016 x2
Li 0.098 0.689 0.516 x2
Li 0.402 0.062 0.233 x2
Li 0.403 0.561 0.736 x2
Mn 0.081 0.601 0.335 x2
Mn 0.083 0.099 0.835 x2
Mn 0.419 0.150 0.415 x2
Fe 0.414 0.646 0.918 x2
B 0.078 0.413 0.171 x2
B 0.081 0.909 0.673 x2
B 0.418 0.839 0.077 x2
B 0.419 0.340 0.577 x2
O 0.036 0.206 0.384 x2
O 0.049 0.700 0.885 x2
O 0.067 0.455 0.781 x2
O 0.069 0.957 0.280 x2
O 0.158 0.863 0.064 x2
O 0.160 0.361 0.564 x2
O 0.337 0.386 0.182 x2
O 0.341 0.887 0.687 x2
O 0.431 0.794 0.469 x2
O 0.433 0.294 0.971 x2
O 0.464 0.048 0.866 x2
O 0.464 0.544 0.365 x2

## Properties
The value obtained for the polymorph energy (0 for the lowest one) is 2 meV/atom. The formation energy comes out at -2461.8 meV/atom.

No. 6
Material: Li4Mn3FeB4O12
Method: DFT, PBE+U
State: optimized geometry

Unit cell a=5.257 b=9.095 c=10.501 alpha=88.51 beta=88.90 gamma=89.81
Space group P1 (No. 1)
Inequivalent atoms, fractional coordinates:
Li 0.000 0.000 0.000 x1
Li 0.014 0.995 0.500 x1
Li 0.325 0.343 0.250 x1
Li 0.366 0.330 0.751 x1
Li 0.497 0.502 0.001 x1
Li 0.513 0.495 0.501 x1
Li 0.824 0.844 0.251 x1
Li 0.864 0.830 0.751 x1
Mn 0.009 0.333 0.966 x1
Mn 0.009 0.668 0.467 x1
Mn 0.356 0.669 0.718 x1
Mn 0.507 0.166 0.464 x1
Mn 0.836 0.509 0.217 x1
Mn 0.855 0.168 0.716 x1
Fe 0.331 0.008 0.214 x1
Fe 0.516 0.834 0.968 x1
B 0.005 0.336 0.458 x1
B 0.012 0.668 0.960 x1
B 0.335 0.673 0.208 x1
B 0.351 0.999 0.710 x1
B 0.505 0.836 0.458 x1
B 0.514 0.165 0.959 x1
B 0.837 0.169 0.208 x1
B 0.851 0.499 0.709 x1
O 0.000 0.380 0.750 x1
O 0.082 0.687 0.249 x1
O 0.091 0.984 0.695 x1
O 0.267 0.348 0.443 x1
O 0.272 0.657 0.931 x1
O 0.350 0.958 0.426 x1
O 0.372 0.042 0.000 x1
O 0.395 0.704 0.501 x1
O 0.400 0.302 0.945 x1
O 0.444 0.535 0.194 x1
O 0.466 0.135 0.679 x1
O 0.480 0.799 0.179 x1
O 0.500 0.881 0.751 x1
O 0.583 0.180 0.247 x1
O 0.591 0.485 0.695 x1
O 0.766 0.849 0.444 x1
O 0.774 0.150 0.929 x1
O 0.851 0.459 0.428 x1
O 0.872 0.545 0.000 x1
O 0.892 0.804 0.946 x1
O 0.893 0.204 0.500 x1
O 0.954 0.033 0.195 x1
O 0.967 0.634 0.679 x1
O 0.979 0.296 0.179 x1

## Properties
The value obtained for the polymorph energy (0 for the lowest one) is 0 meV/atom. The formation energy comes out at -2463.0 meV/atom.

No. 7
Material: Li2MnFeB2O6
Method: DFT, PBE+U
State: optimized geometry

Unit cell a=5.244 b=9.070 c=10.430 alpha=90.00 beta=91.79 gamma=90.00
Space group Cc (No. 9)
Inequivalent atoms, fractional coordinates:
Li 0.000 0.007 0.000 x4
Li 0.324 0.012 0.249 x4
Mn 0.321 0.339 0.216 x4
Fe 0.497 0.163 0.966 x4
B 0.327 0.329 0.708 x4
B 0.496 0.168 0.458 x4
O 0.066 0.339 0.676 x4
O 0.252 0.340 0.998 x4
O 0.350 0.040 0.446 x4
O 0.382 0.304 0.429 x4
O 0.430 0.195 0.750 x4
O 0.480 0.452 0.694 x4

## Properties
The value obtained for the polymorph energy (0 for the lowest one) is 1 meV/atom. The formation energy comes out at -2419.9 meV/atom.

No. 8
Material: Li4Mn3FeB4O12
Method: DFT, PBE+U
State: optimized geometry

Unit cell a=5.175 b=6.250 c=8.072 alpha=78.39 beta=88.81 gamma=87.70
Space group P1 (No. 1)
Inequivalent atoms, fractional coordinates:
Li 0.000 0.000 0.000 x1
Li 0.169 0.959 0.696 x1
Li 0.501 0.502 0.499 x1
Li 0.670 0.462 0.198 x1
Mn 0.180 0.222 0.338 x1
Mn 0.488 0.236 0.858 x1
Mn 0.680 0.724 0.840 x1
Fe 0.996 0.735 0.360 x1
B 0.182 0.575 0.017 x1
B 0.488 0.883 0.183 x1
B 0.683 0.073 0.515 x1
B 0.985 0.388 0.680 x1
O 0.041 0.491 0.162 x1
O 0.076 0.736 0.891 x1
O 0.094 0.227 0.803 x1
O 0.124 0.476 0.533 x1
O 0.227 0.951 0.198 x1
O 0.440 0.501 0.001 x1
O 0.542 0.991 0.662 x1
O 0.575 0.235 0.391 x1
O 0.601 0.727 0.308 x1
O 0.626 0.970 0.036 x1
O 0.727 0.459 0.696 x1
O 0.940 0.000 0.499 x1

## Properties
The value obtained for the polymorph energy (0 for the lowest one) is 2 meV/atom. The formation energy comes out at -2461.6 meV/atom.

Repeat the third record exactly.
Material: Li4MnFe3B4O12
Method: DFT, PBE+U
State: optimized geometry

Unit cell a=5.167 b=5.222 c=10.998 alpha=77.09 beta=78.94 gamma=60.79
Space group P1 (No. 1)
Inequivalent atoms, fractional coordinates:
Li 0.000 0.000 0.000 x1
Li 0.195 0.936 0.330 x1
Li 0.497 0.502 0.503 x1
Li 0.702 0.433 0.826 x1
Mn 0.321 0.334 0.047 x1
Fe 0.385 0.103 0.780 x1
Fe 0.817 0.829 0.546 x1
Fe 0.883 0.595 0.282 x1
B 0.039 0.764 0.792 x1
B 0.159 0.172 0.535 x1
B 0.540 0.265 0.297 x1
B 0.660 0.673 0.033 x1
O 0.011 0.029 0.811 x1
O 0.186 0.908 0.517 x1
O 0.295 0.497 0.821 x1
O 0.302 0.260 0.254 x1
O 0.395 0.182 0.576 x1
O 0.403 0.934 0.002 x1
O 0.510 0.534 0.313 x1
O 0.697 0.403 0.015 x1
O 0.792 0.999 0.326 x1
O 0.803 0.755 0.751 x1
O 0.888 0.688 0.079 x1
O 0.903 0.439 0.506 x1

## Properties
The value obtained for the polymorph energy (0 for the lowest one) is 4 meV/atom. The formation energy comes out at -2372.2 meV/atom.